VASP calculation (GGA+U) on an optimized crystal structure of LiCo2P5O15.

As for the MP2020-corrected energy: -7.4523 eV/atom. Its calculated formation energy is -2.35 eV/atom. Its excess energy over the best structure of this formula in the dataset is 94 meV per atom.

abc: 5.275 8.716 13.620
angles: 90.00 109.63 90.00
Element x y z (fractional)
Li1 0.000 0.001 0.000
Li2 0.000 0.999 0.500
Co1 0.795 0.303 0.494
Co2 0.795 0.697 0.994
Co3 0.946 0.301 0.898
Co4 0.946 0.699 0.398
P1 0.201 0.182 0.359
P2 0.201 0.818 0.859
P3 0.342 0.498 0.308
P4 0.342 0.502 0.808
P5 0.415 0.495 0.089
P6 0.415 0.505 0.589
P7 0.551 0.177 0.041
P8 0.551 0.823 0.541
P9 0.879 0.048 0.700
P10 0.879 0.952 0.200
O1 0.117 0.072 0.259
O2 0.117 0.928 0.759
O3 0.138 0.487 0.007
O4 0.138 0.513 0.507
O5 0.166 0.368 0.811
O6 0.166 0.632 0.311
O7 0.167 0.347 0.305
O8 0.167 0.653 0.805
O9 0.257 0.149 0.981
O10 0.257 0.851 0.481
O11 0.375 0.490 0.198
O12 0.375 0.510 0.698
O13 0.489 0.154 0.422
O14 0.489 0.846 0.922
O15 0.587 0.342 0.094
O16 0.587 0.658 0.594
O17 0.598 0.375 0.588
O18 0.598 0.625 0.088
O19 0.622 0.491 0.388
O20 0.622 0.509 0.888
O21 0.629 0.067 0.141
O22 0.629 0.933 0.641
O23 0.752 0.169 0.984
O24 0.752 0.831 0.484
O25 0.793 0.137 0.776
O26 0.793 0.863 0.276
O27 0.971 0.121 0.617
O28 0.971 0.879 0.117
O29 0.996 0.175 0.414
O30 0.996 0.825 0.914

---

VASP calculation (GGA+U) on an optimized crystal structure of Li9Mn2Co5O16.

As for the MP2020-corrected energy: -6.4759 eV/atom. Its calculated formation energy is -1.78 eV/atom. Its excess energy over the best structure of this formula in the dataset is 82 meV per atom.

abc: 3.028 6.420 15.548
angles: 89.02 87.29 76.73
Element x y z (fractional)
Li1 0.000 0.000 0.000
Li2 0.055 0.881 0.187
Li3 0.110 0.761 0.373
Li4 0.244 0.503 0.750
Li5 0.372 0.253 0.126
Li6 0.488 0.008 0.498
Li7 0.619 0.756 0.876
Li8 0.738 0.509 0.247
Li9 0.867 0.256 0.624
Mn1 0.176 0.629 0.560
Mn2 0.560 0.882 0.688
Co1 0.304 0.384 0.939
Co2 0.435 0.122 0.305
Co3 0.676 0.638 0.068
Co4 0.803 0.375 0.434
Co5 0.931 0.135 0.814
O1 0.114 0.835 0.781
O2 0.125 0.676 0.972
O3 0.231 0.574 0.147
O4 0.292 0.416 0.344
O5 0.325 0.331 0.526
O6 0.416 0.180 0.722
O7 0.443 0.087 0.905
O8 0.536 0.913 0.088
O9 0.576 0.847 0.285
O10 0.623 0.676 0.468
O11 0.736 0.582 0.654
O12 0.783 0.430 0.846
O13 0.814 0.344 0.030
O14 0.879 0.187 0.226
O15 0.986 0.084 0.400
O16 0.999 0.929 0.595

---

VASP calculation (GGA+U) on an optimized crystal structure of MgCr2O4.

As for the MP2020-corrected energy: -8.3630 eV/atom. Its calculated formation energy is -2.55 eV/atom. Its excess energy over the best structure of this formula in the dataset is 84 meV per atom.

abc: 5.987 5.987 14.774
angles: 90.00 90.00 120.00
Element x y z (fractional)
Mg1 0.000 0.000 0.000
Mg2 0.000 0.000 0.243
Mg3 0.000 0.000 0.623
Mg4 0.333 0.667 0.666
Mg5 0.667 0.333 0.328
Mg6 0.667 0.333 0.958
Cr1 0.168 0.335 0.452
Cr2 0.168 0.832 0.452
Cr3 0.329 0.165 0.787
Cr4 0.333 0.667 0.286
Cr5 0.333 0.667 0.908
Cr6 0.501 0.002 0.120
Cr7 0.501 0.499 0.120
Cr8 0.665 0.832 0.452
Cr9 0.667 0.333 0.575
Cr10 0.835 0.165 0.787
Cr11 0.835 0.671 0.787
Cr12 0.998 0.499 0.120
O1 0.000 0.000 0.382
O2 0.000 0.000 0.860
O3 0.030 0.515 0.374
O4 0.154 0.308 0.710
O5 0.154 0.846 0.710
O6 0.182 0.364 0.201
O7 0.182 0.818 0.201
O8 0.317 0.159 0.530
O9 0.333 0.667 0.046
O10 0.333 0.667 0.526
O11 0.358 0.179 0.044
O12 0.485 0.515 0.374
O13 0.485 0.970 0.374
O14 0.509 0.018 0.864
O15 0.509 0.491 0.864
O16 0.636 0.818 0.201
O17 0.667 0.333 0.194
O18 0.667 0.333 0.713
O19 0.692 0.846 0.710
O20 0.821 0.179 0.044
O21 0.821 0.642 0.044
O22 0.841 0.159 0.530
O23 0.841 0.683 0.530
O24 0.982 0.491 0.864

---

VASP calculation (GGA+U) on an optimized crystal structure of Na6UMo4O18.

As for the MP2020-corrected energy: -7.5585 eV/atom. Its calculated formation energy is -2.33 eV/atom.

abc: 7.189 9.755 13.598
angles: 74.21 86.73 83.00
Element x y z (fractional)
Na1 0.023 0.086 0.111
Na2 0.185 0.537 0.573
Na3 0.210 0.178 0.338
Na4 0.275 0.704 0.781
Na5 0.391 0.750 0.063
Na6 0.430 0.838 0.466
Na7 0.570 0.162 0.534
Na8 0.609 0.250 0.937
Na9 0.725 0.296 0.219
Na10 0.790 0.822 0.662
Na11 0.815 0.463 0.427
Na12 0.977 0.914 0.889
U1 0.074 0.318 0.826
U2 0.926 0.682 0.174
Mo1 0.073 0.129 0.595
Mo2 0.239 0.408 0.068
Mo3 0.343 0.512 0.350
Mo4 0.471 0.010 0.826
Mo5 0.529 0.990 0.174
Mo6 0.657 0.488 0.650
Mo7 0.761 0.592 0.932
Mo8 0.927 0.871 0.405
O1 0.001 0.853 0.094
O2 0.033 0.960 0.681
O3 0.089 0.255 0.673
O4 0.115 0.286 0.164
O5 0.117 0.590 0.046
O6 0.119 0.804 0.489
O7 0.139 0.495 0.751
O8 0.157 0.440 0.433
O9 0.239 0.617 0.227
O10 0.269 0.346 0.952
O11 0.276 0.103 0.517
O12 0.309 0.880 0.880
O13 0.340 0.017 0.090
O14 0.365 0.194 0.816
O15 0.444 0.010 0.296
O16 0.454 0.622 0.408
O17 0.466 0.406 0.110
O18 0.494 0.640 0.658
O19 0.506 0.360 0.342
O20 0.534 0.594 0.890
O21 0.546 0.378 0.592
O22 0.556 0.990 0.704
O23 0.635 0.806 0.184
O24 0.660 0.983 0.910
O25 0.691 0.120 0.120
O26 0.724 0.897 0.483
O27 0.731 0.654 0.048
O28 0.761 0.383 0.773
O29 0.843 0.560 0.567
O30 0.861 0.505 0.249
O31 0.881 0.196 0.511
O32 0.883 0.410 0.954
O33 0.885 0.714 0.836
O34 0.911 0.745 0.327
O35 0.967 0.040 0.319
O36 0.999 0.147 0.906

---

VASP calculation (GGA+U) on an optimized crystal structure of Li2Mn2Si3O9.

As for the MP2020-corrected energy: -7.9385 eV/atom. Its calculated formation energy is -2.75 eV/atom. Its excess energy over the best structure of this formula in the dataset is 24 meV per atom.

abc: 10.809 7.434 12.431
angles: 90.00 111.54 90.00
Element x y z (fractional)
Li1 0.035 0.064 0.356
Li2 0.035 0.436 0.856
Li3 0.451 0.532 0.862
Li4 0.451 0.968 0.362
Li5 0.549 0.032 0.638
Li6 0.549 0.468 0.138
Li7 0.965 0.564 0.144
Li8 0.965 0.936 0.644
Mn1 0.065 0.632 0.435
Mn2 0.065 0.868 0.935
Mn3 0.450 0.607 0.581
Mn4 0.450 0.893 0.081
Mn5 0.550 0.107 0.919
Mn6 0.550 0.393 0.419
Mn7 0.935 0.132 0.065
Mn8 0.935 0.368 0.565
Si1 0.240 0.027 0.795
Si2 0.240 0.473 0.295
Si3 0.261 0.158 0.146
Si4 0.261 0.342 0.646
Si5 0.272 0.544 0.067
Si6 0.272 0.956 0.567
Si7 0.728 0.044 0.433
Si8 0.728 0.456 0.933
Si9 0.739 0.658 0.354
Si10 0.739 0.842 0.854
Si11 0.760 0.527 0.705
Si12 0.760 0.973 0.205
O1 0.095 0.530 0.294
O2 0.095 0.970 0.794
O3 0.124 0.059 0.067
O4 0.124 0.441 0.567
O5 0.130 0.605 0.969
O6 0.130 0.895 0.469
O7 0.235 0.243 0.756
O8 0.235 0.257 0.256
O9 0.271 0.595 0.196
O10 0.271 0.905 0.696
O11 0.293 0.178 0.569
O12 0.293 0.322 0.069
O13 0.366 0.007 0.917
O14 0.366 0.493 0.417
O15 0.387 0.022 0.198
O16 0.387 0.478 0.698
O17 0.403 0.626 0.048
O18 0.403 0.874 0.548
O19 0.597 0.126 0.452
O20 0.597 0.374 0.952
O21 0.613 0.522 0.302
O22 0.613 0.978 0.802
O23 0.634 0.507 0.583
O24 0.634 0.993 0.083
O25 0.707 0.678 0.931
O26 0.707 0.822 0.431
O27 0.729 0.095 0.304
O28 0.729 0.405 0.804
O29 0.765 0.743 0.744
O30 0.765 0.757 0.244
O31 0.870 0.105 0.531
O32 0.870 0.395 0.031
O33 0.876 0.559 0.433
O34 0.876 0.941 0.933
O35 0.905 0.030 0.206
O36 0.905 0.470 0.706

---

VASP calculation (GGA+U) on an optimized crystal structure of SrLaCoRuO6.

As for the MP2020-corrected energy: -7.5591 eV/atom. Its calculated formation energy is -2.29 eV/atom.

abc: 5.651 5.660 9.736
angles: 90.00 125.34 90.00
Element x y z (fractional)
Sr1 0.000 0.219 0.000
Sr2 0.000 0.781 0.500
La1 0.482 0.289 0.497
La2 0.482 0.711 0.997
Co1 0.244 0.247 0.749
Co2 0.244 0.753 0.249
Ru1 0.744 0.250 0.249
Ru2 0.744 0.750 0.749
O1 0.067 0.044 0.291
O2 0.067 0.956 0.791
O3 0.436 0.467 0.213
O4 0.436 0.533 0.713
O5 0.500 0.033 0.708
O6 0.500 0.967 0.208
O7 0.564 0.269 0.005
O8 0.564 0.731 0.505
O9 0.906 0.239 0.494
O10 0.906 0.761 0.994
O11 0.998 0.478 0.787
O12 0.998 0.522 0.287

---

VASP calculation (GGA+U) on an optimized crystal structure of Li9Mn2Co5O16.

As for the MP2020-corrected energy: -6.5183 eV/atom. Its calculated formation energy is -1.82 eV/atom. Its excess energy over the best structure of this formula in the dataset is 40 meV per atom.

abc: 7.758 7.758 5.910
angles: 112.12 112.12 97.23
Element x y z (fractional)
Li1 0.000 0.000 0.000
Li2 0.120 0.371 0.994
Li3 0.249 0.751 0.000
Li4 0.366 0.121 0.987
Li5 0.497 0.503 0.000
Li6 0.629 0.880 0.006
Li7 0.750 0.250 0.000
Li8 0.879 0.634 0.013
Li9 0.999 0.001 0.500
Mn1 0.498 0.502 0.500
Mn2 0.750 0.250 0.500
Co1 0.117 0.369 0.492
Co2 0.243 0.757 0.500
Co3 0.363 0.123 0.497
Co4 0.631 0.883 0.508
Co5 0.877 0.637 0.503
O1 0.007 0.504 0.274
O2 0.121 0.861 0.736
O3 0.139 0.879 0.264
O4 0.254 0.256 0.726
O5 0.266 0.269 0.271
O6 0.377 0.618 0.724
O7 0.382 0.623 0.276
O8 0.496 0.993 0.726
O9 0.516 0.023 0.281
O10 0.622 0.376 0.720
O11 0.624 0.378 0.280
O12 0.731 0.734 0.729
O13 0.744 0.746 0.274
O14 0.860 0.130 0.729
O15 0.870 0.140 0.271
O16 0.977 0.484 0.719

---

VASP calculation (GGA+U) on an optimized crystal structure of AlFePO5.

As for the MP2020-corrected energy: -8.0470 eV/atom. Its calculated formation energy is -2.75 eV/atom.

abc: 7.228 10.647 5.560
angles: 90.00 98.16 90.00
Element x y z (fractional)
Al1 0.142 0.174 0.444
Al2 0.142 0.326 0.944
Al3 0.858 0.674 0.056
Al4 0.858 0.826 0.556
Fe1 0.483 0.144 0.890
Fe2 0.483 0.356 0.390
Fe3 0.517 0.644 0.610
Fe4 0.517 0.856 0.110
P1 0.277 0.597 0.070
P2 0.277 0.903 0.570
P3 0.723 0.097 0.430
P4 0.723 0.403 0.930
O1 0.104 0.674 0.112
O2 0.104 0.826 0.612
O3 0.217 0.017 0.404
O4 0.217 0.483 0.904
O5 0.231 0.224 0.741
O6 0.231 0.276 0.241
O7 0.379 0.548 0.318
O8 0.379 0.952 0.818
O9 0.410 0.681 0.943
O10 0.410 0.819 0.443
O11 0.590 0.181 0.557
O12 0.590 0.319 0.057
O13 0.621 0.048 0.182
O14 0.621 0.452 0.682
O15 0.769 0.724 0.759
O16 0.769 0.776 0.259
O17 0.783 0.517 0.096
O18 0.783 0.983 0.596
O19 0.896 0.174 0.388
O20 0.896 0.326 0.888